No. 1
{
  "formula": "Mn2FeN2",
  "functional": "PBE",
  "state": "relaxed",
  "cell": [[2.615, -1.515, 0.000], [2.615, 1.515, 0.000], [-0.015, 0.000, 5.927]],
  "species": ["Mn", "Mn", "Fe", "N", "N"],
  "fractional_positions": [[0.167, 0.167, 0.333], [0.833, 0.833, 0.667], [0.500, 0.500, 0.000], [0.168, 0.168, 0.762], [0.832, 0.832, 0.238]],
  "formation_enthalpy_0k_ev_per_atom": -0.100,
  "sg": "C2/m (12)",
  "corrected_energy_ev_per_cell": -43.969
}


No. 2
{
  "formula": "Si",
  "functional": "PBE",
  "state": "relaxed",
  "cell": [[-2.406, 2.406, 1.325], [2.406, -2.406, 1.325], [2.406, 2.406, -1.325]],
  "species": ["Si", "Si"],
  "fractional_positions": [[0.375, 0.625, 0.750], [0.625, 0.375, 0.250]],
  "formation_enthalpy_0k_ev_per_atom": 0.289,
  "sg": "I4_1/amd (141)"
}


No. 3
{
  "formula": "DyMn2Ge2",
  "functional": "PBE",
  "state": "relaxed",
  "cell": [[-1.970, 1.970, 5.432], [1.970, -1.970, 5.432], [1.970, 1.970, -5.432]],
  "species": ["Dy", "Mn", "Mn", "Ge", "Ge"],
  "fractional_positions": [[0.000, 0.000, 0.000], [0.250, 0.750, 0.500], [0.750, 0.250, 0.500], [0.381, 0.381, 0.000], [0.619, 0.619, 0.000]],
  "formation_enthalpy_0k_ev_per_atom": -0.484,
  "sg": "I4/mmm (139)"
}


No. 4
{
  "formula": "Na4Hf3ZnSi3S3O24",
  "functional": "PBE",
  "state": "relaxed",
  "cell": [[9.015, 0.000, 0.000], [-4.494, 7.820, 0.000], [-0.001, -0.017, 23.012]],
  "species": ["Na", "Na", "Na", "Na", "Na", "Na", "Na", "Na", "Na", "Na", "Na", "Na", "Hf", "Hf", "Hf", "Hf", "Hf", "Hf", "Hf", "Hf", "Hf", "Zn", "Zn", "Zn", "Si", "Si", "Si", "Si", "Si", "Si", "Si", "Si", "Si", "S", "S", "S", "S", "S", "S", "S", "S", "S", "O", "O", "O", "O", "O", "O", "O", "O", "O", "O", "O", "O", "O", "O", "O", "O", "O", "O", "O", "O", "O", "O", "O", "O", "O", "O", "O", "O", "O", "O", "O", "O", "O", "O", "O", "O", "O", "O", "O", "O", "O", "O", "O", "O", "O", "O", "O", "O", "O", "O", "O", "O", "O", "O", "O", "O", "O", "O", "O", "O", "O", "O", "O", "O", "O", "O", "O", "O", "O", "O", "O", "O"],
  "fractional_positions": [[0.000, 0.000, 0.000], [0.002, 0.293, 0.489], [0.015, 0.642, 0.245], [0.019, 0.639, 0.760], [0.366, 0.317, 0.083], [0.369, 0.349, 0.573], [0.390, 0.680, 0.994], [0.395, 0.020, 0.488], [0.644, 0.277, 0.007], [0.654, 0.982, 0.923], [0.669, 0.988, 0.410], [0.713, 0.678, 0.844], [0.002, 0.655, 0.097], [0.005, 0.641, 0.597], [0.021, 0.642, 0.389], [0.344, 0.309, 0.227], [0.352, 0.327, 0.429], [0.354, 0.335, 0.729], [0.362, 0.327, 0.931], [0.668, 0.989, 0.768], [0.678, 0.008, 0.266], [0.019, 0.657, 0.894], [0.649, 0.983, 0.063], [0.666, 0.985, 0.556], [0.054, 0.314, 0.329], [0.299, 0.944, 0.993], [0.308, 0.654, 0.497], [0.336, 0.615, 0.830], [0.339, 0.023, 0.331], [0.647, 0.328, 0.829], [0.681, 0.288, 0.158], [0.716, 0.361, 0.496], [0.721, 0.663, 0.992], [0.010, 0.942, 0.496], [0.013, 0.364, 0.994], [0.054, 0.036, 0.825], [0.381, 0.989, 0.661], [0.385, 0.692, 0.162], [0.637, 0.615, 0.327], [0.681, 0.700, 0.661], [0.968, 0.988, 0.161], [0.970, 0.277, 0.660], [0.027, 0.481, 0.333], [0.033, 0.866, 0.826], [0.036, 0.857, 0.549], [0.045, 0.475, 0.047], [0.126, 0.136, 0.880], [0.143, 0.143, 0.169], [0.143, 0.299, 0.390], [0.145, 0.300, 0.668], [0.161, 0.130, 0.774], [0.162, 0.841, 0.336], [0.173, 0.113, 0.493], [0.174, 0.353, 0.989], [0.177, 0.641, 0.832], [0.178, 0.344, 0.274], [0.180, 0.625, 0.553], [0.181, 0.853, 0.052], [0.209, 0.832, 0.658], [0.213, 0.679, 0.159], [0.214, 0.685, 0.441], [0.219, 0.819, 0.938], [0.303, 0.132, 0.989], [0.308, 0.472, 0.492], [0.324, 0.497, 0.773], [0.328, 0.128, 0.275], [0.359, 0.140, 0.670], [0.361, 0.518, 0.170], [0.371, 0.139, 0.390], [0.374, 0.527, 0.887], [0.472, 0.968, 0.712], [0.478, 0.802, 0.213], [0.480, 0.015, 0.608], [0.480, 0.759, 0.107], [0.493, 0.824, 0.501], [0.495, 0.982, 0.999], [0.505, 0.996, 0.323], [0.513, 0.313, 0.168], [0.520, 0.329, 0.492], [0.525, 0.795, 0.819], [0.526, 0.486, 0.991], [0.526, 0.522, 0.667], [0.529, 0.292, 0.888], [0.530, 0.533, 0.381], [0.534, 0.338, 0.774], [0.556, 0.506, 0.276], [0.652, 0.783, 0.321], [0.656, 0.184, 0.098], [0.658, 0.780, 0.610], [0.664, 0.156, 0.819], [0.698, 0.799, 0.715], [0.699, 0.186, 0.215], [0.699, 0.830, 0.004], [0.709, 0.177, 0.501], [0.806, 0.482, 0.554], [0.807, 0.631, 0.335], [0.812, 0.620, 0.047], [0.823, 0.504, 0.831], [0.827, 0.695, 0.933], [0.836, 0.681, 0.658], [0.839, 0.463, 0.441], [0.857, 0.478, 0.157], [0.860, 0.966, 0.213], [0.862, 0.188, 0.712], [0.866, 0.971, 0.504], [0.867, 0.140, 0.322], [0.870, 0.188, 0.003], [0.880, 0.018, 0.817], [0.895, 0.182, 0.606], [0.896, 0.008, 0.107], [0.979, 0.435, 0.943], [0.987, 0.452, 0.659], [0.988, 0.840, 0.444], [0.991, 0.833, 0.159]],
  "formation_enthalpy_0k_ev_per_atom": -2.752,
  "sg": "P1 (1)",
  "corrected_energy_ev_per_cell": -865.269
}


No. 5
{
  "formula": "BaBiO3",
  "functional": "PBE",
  "state": "relaxed",
  "cell": [[4.332, 0.000, 0.000], [0.936, 6.214, 0.000], [2.160, 0.855, 7.215]],
  "species": ["Ba", "Ba", "Bi", "Bi", "O", "O", "O", "O", "O", "O"],
  "fractional_positions": [[0.000, 0.000, 0.000], [0.196, 0.417, 0.304], [0.541, 0.926, 0.519], [0.917, 0.561, 0.764], [0.138, 0.136, 0.634], [0.250, 0.416, 0.945], [0.454, 0.810, 0.183], [0.563, 0.316, 0.835], [0.712, 0.635, 0.118], [0.742, 0.165, 0.310]],
  "formation_enthalpy_0k_ev_per_atom": -1.286,
  "sg": "P1 (1)",
  "corrected_energy_ev_per_cell": -54.171
}


No. 6
{
  "formula": "TiInPd2",
  "functional": "PBE",
  "state": "relaxed",
  "cell": [[0.000, 3.233, 3.233], [3.233, 0.000, 3.233], [3.233, 3.233, 0.000]],
  "species": ["Ti", "In", "Pd", "Pd"],
  "fractional_positions": [[0.000, 0.000, 0.000], [0.500, 0.500, 0.500], [0.250, 0.250, 0.250], [0.750, 0.750, 0.750]],
  "formation_enthalpy_0k_ev_per_atom": -0.572,
  "sg": "Fm-3m (225)"
}


No. 7
{
  "formula": "TbB2Ru",
  "functional": "PBE",
  "state": "relaxed",
  "cell": [[5.940, 0.000, 0.000], [0.000, 5.352, 0.000], [0.000, 0.000, 6.370]],
  "species": ["Tb", "Tb", "Tb", "Tb", "B", "B", "B", "B", "B", "B", "B", "B", "Ru", "Ru", "Ru", "Ru"],
  "fractional_positions": [[0.009, 0.250, 0.162], [0.491, 0.750, 0.662], [0.509, 0.250, 0.338], [0.991, 0.750, 0.838], [0.130, 0.585, 0.461], [0.130, 0.915, 0.461], [0.370, 0.085, 0.961], [0.370, 0.415, 0.961], [0.630, 0.585, 0.039], [0.630, 0.915, 0.039], [0.870, 0.085, 0.539], [0.870, 0.415, 0.539], [0.181, 0.250, 0.681], [0.319, 0.750, 0.181], [0.681, 0.250, 0.819], [0.819, 0.750, 0.319]],
  "formation_enthalpy_0k_ev_per_atom": -0.588,
  "sg": "Pnma (62)"
}


No. 8
{
  "formula": "RePbClO4",
  "functional": "PBE",
  "state": "relaxed",
  "cell": [[5.835, 0.000, 0.000], [0.000, 9.601, 0.000], [0.000, 0.000, 4.685]],
  "species": ["Re", "Re", "Pb", "Pb", "Cl", "Cl", "O", "O", "O", "O", "O", "O", "O", "O"],
  "fractional_positions": [[0.000, 0.132, 0.000], [0.500, 0.868, 0.500], [0.000, 0.676, 0.012], [0.500, 0.324, 0.512], [0.000, 0.467, 0.426], [0.500, 0.533, 0.926], [0.000, 0.133, 0.371], [0.000, 0.958, 0.889], [0.250, 0.220, 0.887], [0.250, 0.780, 0.387], [0.500, 0.042, 0.389], [0.500, 0.867, 0.871], [0.750, 0.220, 0.887], [0.750, 0.780, 0.387]],
  "formation_enthalpy_0k_ev_per_atom": -1.892,
  "e_ij_max_c_m2": 2.75,
  "sg": "Pmn2_1 (31)",
  "corrected_energy_ev_per_cell": -102.088
}